Entry 1:
Entry from Materials Project: a geometry-optimized EuZrO3 structure (PBE).

The structure in POSCAR format:
```
EuZrO3
1.0
8.367 0.000 0.000
0.000 8.367 0.000
0.000 0.000 8.367
Eu Zr O
8 8 24
Cartesian
1.873 1.873 1.873 Eu
2.042 6.325 2.141 Eu
2.141 2.042 6.325 Eu
2.311 6.495 6.056 Eu
6.056 2.311 6.495 Eu
6.226 6.226 6.226 Eu
6.325 2.141 2.042 Eu
6.495 6.056 2.311 Eu
0.060 8.307 4.124 Zr
0.082 4.102 4.265 Zr
4.102 4.265 0.082 Zr
4.124 0.060 8.307 Zr
4.244 4.244 4.244 Zr
4.265 0.082 4.102 Zr
8.285 8.285 8.285 Zr
8.307 4.124 0.060 Zr
0.113 8.070 6.194 O
0.146 6.186 3.970 O
0.214 8.221 2.003 O
0.297 2.010 4.071 O
2.003 0.214 8.221 O
2.010 4.071 0.297 O
2.173 4.296 4.481 O
2.181 8.153 4.038 O
3.886 6.357 8.255 O
3.970 0.146 6.186 O
4.038 2.181 8.153 O
4.071 0.297 2.010 O
4.296 4.481 2.173 O
4.329 6.365 4.398 O
4.398 4.329 6.365 O
4.481 2.173 4.296 O
6.186 3.970 0.146 O
6.194 0.113 8.070 O
6.357 8.255 3.886 O
6.365 4.398 4.329 O
8.070 6.194 0.113 O
8.153 4.038 2.181 O
8.221 2.003 0.214 O
8.255 3.886 6.357 O
```

Results
Energy of formation = -17.810 eV/f.u.
Electronic total energy = -9.880 eV/atom
MP2020-corrected energy = -10.29 eV per atom
ρ = 6.60 Mg/m³
Space-group type = P2_13
Total magnetization = 56.00 μB per cell
Crystal system = cubic


Entry 2:
Entry from Materials Project: a geometry-optimized TmSbIr structure (PBE).

The structure in POSCAR format:
```
TmSbIr
1.0
7.110 0.000 0.000
0.000 4.470 0.000
0.000 0.000 7.979
Tm Sb Ir
4 4 4
Cartesian
0.087 1.118 1.503 Tm
3.469 3.353 5.493 Tm
3.642 1.118 2.486 Tm
7.024 3.353 6.475 Tm
1.243 1.118 4.695 Sb
2.313 3.353 0.705 Sb
4.798 1.118 7.274 Sb
5.868 3.353 3.284 Sb
1.521 3.353 3.261 Ir
2.034 1.118 7.250 Ir
5.076 3.353 0.728 Ir
5.589 1.118 4.718 Ir
```

Results
Energy of formation = -2.643 eV/f.u.
Electronic total energy = -6.695 eV/atom
ρ = 12.65 Mg/m³
Space-group type = Pnma
Crystal system = orthorhombic


Entry 3:
Entry from Materials Project: a geometry-optimized RbBF4 structure (PBE).

The structure in POSCAR format:
```
RbBF4
1.0
9.233 0.000 0.000
0.000 5.734 0.000
0.000 0.000 7.422
Rb B F
4 4 16
Cartesian
1.718 1.434 1.198 Rb
2.899 4.301 4.909 Rb
6.334 1.434 2.513 Rb
7.515 4.301 6.225 Rb
0.564 1.434 5.138 B
4.052 4.301 1.427 B
5.181 1.434 5.995 B
8.669 4.301 2.284 B
0.703 0.276 5.963 F
0.703 2.591 5.963 F
0.709 4.301 2.887 F
1.590 1.434 4.162 F
3.026 4.301 0.451 F
3.908 1.434 6.598 F
3.913 3.143 2.252 F
3.913 5.458 2.252 F
5.320 0.276 5.170 F
5.320 2.591 5.170 F
5.325 4.301 0.825 F
6.207 1.434 6.971 F
7.643 4.301 3.260 F
8.524 1.434 4.536 F
8.530 3.143 1.459 F
8.530 5.458 1.459 F
```

Results
Energy of formation = -19.846 eV/f.u.
Electronic total energy = -5.553 eV/atom
MP2020-corrected energy = -5.86 eV per atom
ρ = 2.91 Mg/m³
Space-group type = Pnma
Crystal system = orthorhombic


Entry 4:
Entry from Materials Project: a geometry-optimized CdPb2N2 structure (PBE).

The structure in POSCAR format:
```
CdPb2N2
1.0
10.772 0.000 0.000
0.000 3.667 0.000
0.000 0.000 12.730
Cd Pb N
4 8 8
Cartesian
2.214 0.917 1.780 Cd
3.172 2.750 8.145 Cd
7.600 0.917 4.585 Cd
8.558 2.750 10.950 Cd
1.032 2.750 4.860 Pb
1.331 2.750 11.419 Pb
4.056 0.917 5.054 Pb
4.354 0.917 11.225 Pb
6.419 2.750 1.505 Pb
6.717 2.750 7.676 Pb
9.442 0.917 1.311 Pb
9.740 0.917 7.870 Pb
2.080 0.917 3.841 N
2.353 0.917 12.447 N
3.033 2.750 6.082 N
3.306 2.750 10.206 N
7.466 0.917 2.524 N
7.739 0.917 6.648 N
8.419 2.750 0.283 N
8.692 2.750 8.889 N
```

Results
Energy of formation = 1.760 eV/f.u.
Electronic total energy = -4.508 eV/atom
MP2020-corrected energy = -4.65 eV per atom
ρ = 7.33 Mg/m³
Space-group type = Pnma
Energy relative to the lowest polymorph listed for this composition = 0.000 eV/atom
Total magnetization = 0.00 μB per cell
Crystal system = orthorhombic


Entry 5:
Entry from Materials Project: a geometry-optimized Hg3AsS4Cl structure (PBE).

The structure in POSCAR format:
```
Hg3AsS4Cl
1.0
7.590 0.000 0.000
-3.795 6.573 0.000
0.000 0.000 9.675
Hg As S Cl
6 2 8 2
Cartesian
-1.872 3.301 0.000 Hg
1.872 3.301 0.000 Hg
0.000 6.544 0.000 Hg
3.795 0.029 4.837 Hg
1.922 3.272 4.837 Hg
5.667 3.272 4.837 Hg
0.000 0.000 4.709 As
0.000 0.000 9.547 As
0.000 1.953 5.934 S
-2.103 5.596 5.934 S
1.691 0.977 1.097 S
0.000 4.382 8.430 S
3.795 2.191 3.592 S
2.103 5.596 5.934 S
5.898 0.977 1.097 S
3.795 4.620 1.097 S
0.000 4.382 2.884 Cl
3.795 2.191 7.721 Cl
```

Results
Energy of formation = -4.646 eV/f.u.
Electronic total energy = -2.887 eV/atom
MP2020-corrected energy = -3.18 eV per atom
ρ = 5.78 Mg/m³
Space-group type = P6_3mc
Total magnetization = 0.00 μB per cell
Crystal system = hexagonal


Entry 6:
Entry from Materials Project: a geometry-optimized Ag2TeO4 structure (PBE).

The structure in POSCAR format:
```
Ag2TeO4
1.0
4.587 -4.718 0.000
4.587 4.718 0.000
-0.390 0.000 13.943
Ag Te O
12 6 24
Cartesian
4.295 4.232 10.457 Ag
3.208 1.407 6.028 Ag
2.745 0.586 9.387 Ag
4.490 2.126 3.486 Ag
2.940 -0.586 2.415 Ag
5.771 1.407 0.943 Ag
3.013 -1.407 12.999 Ag
5.844 0.586 11.527 Ag
4.295 -2.126 10.457 Ag
6.039 -0.586 4.556 Ag
5.576 -1.407 7.914 Ag
4.490 -4.232 3.486 Ag
0.000 0.000 0.000 Te
-0.195 0.000 6.971 Te
2.326 1.935 12.500 Te
2.521 -1.935 5.528 Te
6.263 1.935 8.414 Te
6.458 -1.935 1.443 Te
0.749 0.697 12.440 O
1.264 1.077 7.623 O
2.354 2.063 3.146 O
3.823 3.253 12.591 O
3.071 1.463 0.481 O
0.945 -0.697 5.468 O
4.766 3.253 8.323 O
1.460 -1.077 0.651 O
3.469 0.549 11.874 O
3.664 -0.549 4.903 O
2.159 -2.063 10.117 O
2.876 -1.463 7.452 O
5.908 1.463 6.490 O
6.625 2.063 3.826 O
5.121 0.549 9.040 O
5.316 -0.549 2.068 O
7.325 1.077 13.291 O
4.018 -3.253 5.620 O
7.840 0.697 8.474 O
5.713 -1.463 13.461 O
4.961 -3.253 1.352 O
6.430 -2.063 10.797 O
7.520 -1.077 6.320 O
8.035 -0.697 1.503 O
```

Results
Energy of formation = -6.772 eV/f.u.
Electronic total energy = -4.661 eV/atom
MP2020-corrected energy = -5.05 eV per atom
ρ = 6.72 Mg/m³
Space-group type = C2/c
Energy relative to the lowest polymorph listed for this composition = 0.000 eV/atom
Crystal system = monoclinic


Entry 7:
Entry from Materials Project: a geometry-optimized UCoC2 structure (PBE).

The structure in POSCAR format:
```
UCoC2
1.0
3.476 0.000 0.000
0.000 3.476 0.000
0.000 0.000 7.269
U Co C
2 2 4
Cartesian
0.869 0.869 1.313 U
2.607 2.607 5.956 U
0.869 2.607 3.634 Co
2.607 0.869 3.634 Co
0.869 0.869 4.777 C
0.869 0.869 6.244 C
2.607 2.607 1.025 C
2.607 2.607 2.492 C
```

Results
Energy of formation = -0.636 eV/f.u.
Electronic total energy = -9.373 eV/atom
ρ = 12.14 Mg/m³
Space-group type = P4/nmm
Crystal system = tetragonal


Entry 8:
Entry from Materials Project: a geometry-optimized LiNb2Te4Cl10O structure (PBE).

The structure in POSCAR format:
```
LiNb2Te4Cl10O
1.0
6.965 0.000 0.000
-2.388 8.508 0.000
-0.007 -1.309 9.447
Li Nb Te Cl O
1 2 4 10 1
Cartesian
0.000 0.000 0.000 Li
2.646 3.565 8.854 Nb
3.643 2.228 2.018 Nb
-0.220 0.272 5.517 Te
-0.473 5.522 5.359 Te
1.946 -0.731 6.943 Te
4.364 6.546 3.933 Te
0.746 2.305 8.114 Cl
1.725 0.840 1.435 Cl
1.371 5.956 1.050 Cl
2.396 3.236 3.713 Cl
2.125 5.376 7.282 Cl
4.311 0.367 3.504 Cl
3.976 2.528 7.196 Cl
4.911 1.115 0.212 Cl
4.650 6.153 0.082 Cl
5.593 3.413 2.663 Cl
3.150 3.514 0.705 O
```

Results
Energy of formation = -19.779 eV/f.u.
Electronic total energy = -4.289 eV/atom
MP2020-corrected energy = -4.33 eV per atom
ρ = 3.18 Mg/m³
Space-group type = P1
Energy relative to the lowest polymorph listed for this composition = 0.018 eV/atom
Total magnetization = 0.99 μB per cell
Crystal system = triclinic


What did the fourth record say?
Entry from Materials Project: a geometry-optimized CdPb2N2 structure (PBE).

The structure in POSCAR format:
```
CdPb2N2
1.0
10.772 0.000 0.000
0.000 3.667 0.000
0.000 0.000 12.730
Cd Pb N
4 8 8
Cartesian
2.214 0.917 1.780 Cd
3.172 2.750 8.145 Cd
7.600 0.917 4.585 Cd
8.558 2.750 10.950 Cd
1.032 2.750 4.860 Pb
1.331 2.750 11.419 Pb
4.056 0.917 5.054 Pb
4.354 0.917 11.225 Pb
6.419 2.750 1.505 Pb
6.717 2.750 7.676 Pb
9.442 0.917 1.311 Pb
9.740 0.917 7.870 Pb
2.080 0.917 3.841 N
2.353 0.917 12.447 N
3.033 2.750 6.082 N
3.306 2.750 10.206 N
7.466 0.917 2.524 N
7.739 0.917 6.648 N
8.419 2.750 0.283 N
8.692 2.750 8.889 N
```

Results
Energy of formation = 1.760 eV/f.u.
Electronic total energy = -4.508 eV/atom
MP2020-corrected energy = -4.65 eV per atom
ρ = 7.33 Mg/m³
Space-group type = Pnma
Energy relative to the lowest polymorph listed for this composition = 0.000 eV/atom
Total magnetization = 0.00 μB per cell
Crystal system = orthorhombic